Record 1
DFT (PBE-GGA) results for a geometry-optimized Mg14NbNi structure.

Summary:
Its magnetization is 0.00 μB/cell. As for the polymorph energy (0 for the lowest one): 0.07 kcal/mol of atoms.

a = 6.2611 Å, b = 6.2611 Å, c = 9.8250 Å
α = 90.00°, β = 90.00°, γ = 120.00°
Atoms (fractional coordinates):
Mg 0.8333 0.6667 0.8703
Mg 0.6679 0.8321 0.1250
Mg 0.3240 0.6480 0.8810
Mg 0.3240 0.1760 0.3690
Mg 0.8520 0.1760 0.3690
Mg 0.6633 0.8367 0.6250
Mg 0.6679 0.3358 0.1250
Mg 0.3240 0.6480 0.3690
Mg 0.6633 0.3266 0.6250
Mg 0.1642 0.8321 0.1250
Mg 0.8333 0.6667 0.3797
Mg 0.8520 0.1760 0.8810
Mg 0.3240 0.1760 0.8810
Mg 0.1734 0.8367 0.6250
Nb 0.1667 0.3333 0.6250
Ni 0.1667 0.3333 0.1250



Record 2
DFT (PBE-GGA) results for a geometry-optimized Ce5Si4 structure.

Summary:
Its magnetization is 19.99 μB/cell.

a = 7.8172 Å, b = 7.8172 Å, c = 14.6274 Å
α = 90.00°, β = 90.00°, γ = 90.00°
Atoms (fractional coordinates):
Si 0.2983 0.9353 0.5590
Si 0.1564 0.2081 0.8105
Si 0.5647 0.7983 0.8090
Si 0.0647 0.7017 0.9410
Si 0.2919 0.6564 0.0605
Si 0.7919 0.8436 0.6895
Si 0.7017 0.0647 0.0590
Si 0.8436 0.7919 0.3105
Si 0.4353 0.2017 0.3090
Si 0.6564 0.2919 0.9395
Si 0.3436 0.7081 0.4395
Si 0.9353 0.2983 0.4410
Si 0.7081 0.3436 0.5605
Si 0.2081 0.1564 0.1895
Si 0.7983 0.5647 0.1910
Si 0.2017 0.4353 0.6910
Ce 0.6328 0.5041 0.3753
Ce 0.0038 0.3602 0.0427
Ce 0.1398 0.5038 0.2927
Ce 0.1786 0.8214 0.7500
Ce 0.1328 0.9959 0.3747
Ce 0.4959 0.3672 0.1247
Ce 0.3214 0.3214 0.5000
Ce 0.3602 0.0038 0.9573
Ce 0.3672 0.4959 0.8753
Ce 0.0041 0.8672 0.1253
Ce 0.5041 0.6328 0.6247
Ce 0.8672 0.0041 0.8747
Ce 0.4962 0.8602 0.2073
Ce 0.6786 0.6786 0.0000
Ce 0.6398 0.9962 0.4573
Ce 0.9962 0.6398 0.5427
Ce 0.9959 0.1328 0.6253
Ce 0.8214 0.1786 0.2500
Ce 0.8602 0.4962 0.7927
Ce 0.5038 0.1398 0.7073



Record 3
DFT (PBE-GGA) results for a geometry-optimized Y3CBr3 structure.

a = 10.7368 Å, b = 10.7368 Å, c = 10.7368 Å
α = 35.63°, β = 35.63°, γ = 35.63°
Atoms (fractional coordinates):
Y 0.6910 0.0455 0.3997
Y 0.9545 0.6003 0.3090
Y 0.3997 0.6910 0.0455
Y 0.6003 0.3090 0.9545
Y 0.0455 0.3997 0.6910
Y 0.3090 0.9545 0.6003
Br 0.1087 0.7844 0.4326
Br 0.7844 0.4326 0.1087
Br 0.5674 0.8913 0.2156
Br 0.2156 0.5674 0.8913
Br 0.4326 0.1087 0.7844
Br 0.8913 0.2156 0.5674
C 0.6667 0.6667 0.6667
C 0.3333 0.3333 0.3333



Record 4
DFT (PBE-GGA) results for a geometry-optimized B structure.

Summary:
Its magnetization is 1.47 μB/cell. As for the polymorph energy (0 for the lowest one): 5.15 kcal/mol of atoms.

a = 8.6196 Å, b = 8.6196 Å, c = 5.0634 Å
α = 90.00°, β = 90.00°, γ = 90.00°
Atoms (fractional coordinates):
B 0.7542 0.7542 0.9157
B 0.8289 0.4179 0.5964
B 0.7726 0.0813 0.5930
B 0.0813 0.2274 0.4070
B 0.4179 0.1711 0.4036
B 0.2726 0.5813 0.9070
B 0.3289 0.0821 0.0964
B 0.9179 0.6711 0.0964
B 0.2458 0.2458 0.9157
B 0.1711 0.4179 0.4036
B 0.5821 0.1711 0.5964
B 0.7458 0.2542 0.4157
B 0.7458 0.7458 0.5843
B 0.8711 0.8711 0.1158
B 0.9187 0.7726 0.4070
B 0.7274 0.4187 0.9070
B 0.6711 0.0821 0.9036
B 0.0000 0.0000 0.5000
B 0.9179 0.3289 0.9036
B 0.5821 0.8289 0.4036
B 0.6711 0.9179 0.0964
B 0.3711 0.6289 0.6158
B 0.2274 0.9187 0.5930
B 0.8711 0.1289 0.8842
B 0.6289 0.6289 0.3842
B 0.7542 0.2458 0.0843
B 0.0821 0.3289 0.0964
B 0.0821 0.6711 0.9036
B 0.5813 0.7274 0.0930
B 0.5813 0.2726 0.9070
B 0.7274 0.5813 0.0930
B 0.2542 0.7458 0.4157
B 0.2542 0.2542 0.5843
B 0.9187 0.2274 0.5930
B 0.1711 0.5821 0.5964
B 0.1289 0.1289 0.1158
B 0.2458 0.7542 0.0843
B 0.5000 0.5000 0.0000
B 0.4187 0.2726 0.0930
B 0.2726 0.4187 0.0930
B 0.2274 0.0813 0.4070
B 0.3711 0.3711 0.3842
B 0.4187 0.7274 0.9070
B 0.3289 0.9179 0.9036
B 0.4179 0.8289 0.5964
B 0.1289 0.8711 0.8842
B 0.0813 0.7726 0.5930
B 0.7726 0.9187 0.4070
B 0.8289 0.5821 0.4036
B 0.6289 0.3711 0.6158



no.,raw total energy (eV per atom),calculated formation energy (eV per atom)
1,-2.303,0.09
2,-6.313,-0.57
3,-6.100,-1.54
4,-6.456,0.22